Ti2Se3, relaxed, DFT r²SCAN; volume = 410 Å³/cell; magnetic moment = 0.711 μB per formula unit; energy of formation from the pure elements = -1.35 eV/atom; total energy = -75.5 eV per formula unit; SG = P-31c (163)
1.0
-5.207 0.162 3.531
3.367 -5.302 -0.400
6.508 3.420 9.440
Ti Se
8 12
Direct
0.667 0.333 0.505
0.333 0.667 0.495
0.667 0.333 0.995
0.333 0.667 0.005
0.000 0.000 0.500
0.000 0.000 0.000
0.667 0.333 0.750
0.333 0.667 0.250
0.666 0.995 0.627
0.334 0.005 0.373
0.005 0.671 0.627
0.666 0.671 0.873
0.995 0.329 0.373
0.334 0.329 0.127
0.329 0.334 0.627
0.005 0.334 0.873
0.671 0.666 0.373
0.995 0.666 0.127
0.329 0.995 0.873
0.671 0.005 0.127

Ti3Se4, relaxed, DFT r²SCAN; volume = 141 Å³/cell; magnetic moment = 0.831 μB per formula unit; energy of formation from the pure elements = -1.34 eV/atom; total energy = -105.5 eV per formula unit; SG = C2/m (12)
1.0
0.167 -0.501 3.566
-6.036 2.272 0.601
0.691 -6.448 -2.760
Ti Se
3 4
Direct
0.000 0.000 0.000
0.748 0.704 0.495
0.252 0.296 0.505
0.635 0.971 0.270
0.365 0.029 0.730
0.888 0.548 0.775
0.112 0.452 0.225

TiSe, relaxed, DFT r²SCAN; volume = 69 Å³/cell; magnetic moment = 0.000 μB per formula unit; energy of formation from the pure elements = -1.21 eV/atom; total energy = -29.7 eV per formula unit; SG = P6_3/mmc (194)
1.0
3.429 0.000 0.000
-1.715 2.970 0.000
0.000 0.000 6.765
Ti Se
2 2
Direct
0.000 0.000 0.000
0.000 0.000 0.500
0.333 0.667 0.250
0.667 0.333 0.750

Ti2Se, relaxed, DFT r²SCAN; volume = 586 Å³/cell; magnetic moment = 0.000 μB per formula unit; energy of formation from the pure elements = -0.92 eV/atom; total energy = -42.9 eV per formula unit; SG = Pnnm (58)
1.0
-1.873 -2.574 -1.306
7.146 -7.791 5.105
-8.371 0.083 11.843
Ti Se
24 12
Direct
0.500 0.355 0.521
0.000 0.886 0.426
0.500 0.913 0.576
0.500 0.971 0.109
0.500 0.614 0.926
0.500 0.645 0.479
0.000 0.471 0.391
0.500 0.386 0.074
0.000 0.187 0.795
0.000 0.093 0.262
0.000 0.813 0.205
0.500 0.087 0.424
0.000 0.855 0.979
0.000 0.529 0.609
0.500 0.029 0.891
0.000 0.413 0.924
0.500 0.593 0.238
0.000 0.587 0.076
0.000 0.114 0.574
0.000 0.145 0.021
0.500 0.313 0.295
0.500 0.407 0.762
0.000 0.907 0.738
0.500 0.687 0.705
0.000 0.312 0.650
0.500 0.188 0.150
0.000 0.567 0.794
0.500 0.933 0.294
0.500 0.746 0.086
0.000 0.688 0.350
0.000 0.433 0.206
0.000 0.246 0.414
0.500 0.067 0.706
0.500 0.812 0.850
0.000 0.754 0.586
0.500 0.254 0.914

TiSe, relaxed, DFT r²SCAN; volume = 141 Å³/cell; magnetic moment = 0.167 μB per formula unit; energy of formation from the pure elements = -1.25 eV/atom; total energy = -29.8 eV per formula unit; SG = Pnma (62)
1.0
3.493 0.000 0.000
0.000 6.242 0.000
0.000 0.000 6.454
Ti Se
4 4
Direct
0.250 0.692 0.506
0.250 0.808 0.006
0.750 0.308 0.494
0.750 0.192 0.994
0.750 0.917 0.284
0.250 0.083 0.716
0.250 0.417 0.216
0.750 0.583 0.784

Ti3Se4, relaxed, DFT r²SCAN; volume = 304 Å³/cell; magnetic moment = 0.000 μB per formula unit; energy of formation from the pure elements = -1.36 eV/atom; total energy = -105.6 eV per formula unit; SG = P6_3/m (176)
1.0
-1.881 2.255 -9.456
4.575 -8.488 2.250
-3.167 -1.644 0.238
Ti Se
6 8
Direct
0.511 0.642 0.750
0.869 0.511 0.250
0.642 0.131 0.250
0.358 0.869 0.750
0.131 0.489 0.750
0.489 0.358 0.250
0.648 0.951 0.750
0.697 0.648 0.250
0.951 0.303 0.250
0.049 0.697 0.750
0.303 0.352 0.750
0.352 0.049 0.250
0.333 0.667 0.250
0.667 0.333 0.750

Ti2Se, relaxed, DFT r²SCAN; volume = 586 Å³/cell; magnetic moment = 0.000 μB per formula unit; energy of formation from the pure elements = -0.91 eV/atom; total energy = -42.9 eV per formula unit; SG = Pnma (62)
1.0
3.461 0.000 0.000
0.000 9.505 0.000
0.000 0.000 17.798
Ti Se
24 12
Direct
0.750 0.890 0.987
0.750 0.388 0.031
0.750 0.420 0.645
0.250 0.539 0.160
0.750 0.610 0.487
0.250 0.961 0.660
0.750 0.080 0.145
0.250 0.888 0.469
0.250 0.580 0.355
0.250 0.252 0.273
0.750 0.752 0.227
0.750 0.152 0.893
0.250 0.652 0.607
0.750 0.748 0.727
0.250 0.612 0.969
0.250 0.248 0.773
0.250 0.848 0.107
0.250 0.920 0.855
0.750 0.348 0.393
0.250 0.110 0.013
0.750 0.461 0.840
0.250 0.390 0.513
0.750 0.112 0.531
0.750 0.039 0.340
0.250 0.280 0.128
0.750 0.033 0.762
0.750 0.467 0.262
0.250 0.533 0.738
0.750 0.720 0.872
0.250 0.967 0.238
0.250 0.220 0.628
0.750 0.780 0.372
0.750 0.659 0.075
0.250 0.341 0.925
0.250 0.159 0.425
0.750 0.841 0.575

TiTl4Se4, relaxed, DFT r²SCAN; volume = 1145 Å³/cell; magnetic moment = 0.000 μB per formula unit; energy of formation from the pure elements = -0.79 eV/atom; total energy = -290.0 eV per formula unit; SG = P2_1/c (14)
1.0
-3.440 4.632 -6.279
-7.854 -1.356 3.302
-2.147 12.223 10.192
Ti Tl Se
4 16 16
Direct
0.889 0.208 0.623
0.389 0.792 0.877
0.111 0.792 0.377
0.611 0.208 0.123
0.713 0.609 0.361
0.213 0.391 0.139
0.287 0.391 0.639
0.787 0.609 0.861
0.893 0.186 0.376
0.393 0.814 0.124
0.107 0.814 0.624
0.607 0.186 0.876
0.322 0.406 0.390
0.822 0.594 0.110
0.678 0.594 0.610
0.178 0.406 0.890
0.498 0.033 0.369
0.998 0.967 0.131
0.502 0.967 0.631
0.002 0.033 0.869
0.114 0.181 0.537
0.614 0.819 0.963
0.886 0.819 0.463
0.386 0.181 0.037
0.663 0.295 0.536
0.163 0.705 0.964
0.337 0.705 0.464
0.837 0.295 0.036
0.946 0.393 0.707
0.446 0.607 0.793
0.054 0.607 0.293
0.554 0.393 0.207
0.831 0.949 0.714
0.331 0.051 0.786
0.169 0.051 0.286
0.669 0.949 0.214

U8TiSe17, relaxed, DFT r²SCAN; volume = 669 Å³/cell; magnetic moment = 18.000 μB per formula unit; energy of formation from the pure elements = -1.58 eV/atom; total energy = -937.0 eV per formula unit; SG = C2/m (12)
1.0
4.460 6.985 -0.018
-4.460 6.985 -0.018
0.000 2.113 10.734
U Ti Se
8 1 17
Direct
0.183 0.699 0.701
0.699 0.183 0.701
0.817 0.301 0.299
0.301 0.817 0.299
0.205 0.205 0.540
0.795 0.795 0.460
0.678 0.678 0.985
0.322 0.322 0.015
0.000 0.000 0.000
0.822 0.432 0.535
0.432 0.822 0.535
0.178 0.568 0.465
0.568 0.178 0.465
0.058 0.677 0.974
0.677 0.058 0.974
0.942 0.323 0.026
0.323 0.942 0.026
0.059 0.059 0.773
0.941 0.941 0.227
0.211 0.211 0.274
0.789 0.789 0.726
0.302 0.302 0.754
0.698 0.698 0.246
0.520 0.520 0.832
0.480 0.480 0.168
0.000 0.000 0.500

TiVSe4, relaxed, DFT r²SCAN; volume = 134 Å³/cell; magnetic moment = 1.195 μB per formula unit; energy of formation from the pure elements = -1.06 eV/atom; total energy = -90.6 eV per formula unit; SG = P2/m (10)
1.0
-2.251 -2.624 0.318
3.791 -3.621 -3.043
2.785 -1.727 5.475
Ti V Se
1 1 4
Direct
0.000 0.000 0.000
0.500 0.500 0.000
0.000 0.663 0.761
0.500 0.168 0.757
0.500 0.832 0.243
0.000 0.337 0.239

TmTlSe2, relaxed, DFT r²SCAN; volume = 113 Å³/cell; magnetic moment = 0.000 μB per formula unit; energy of formation from the pure elements = -1.60 eV/atom; total energy = -123.3 eV per formula unit; SG = R-3m (166)
1.0
7.825 -2.056 -0.003
7.825 2.056 -0.003
7.286 0.000 3.516
Tm Tl Se
1 1 2
Direct
0.000 0.000 0.000
0.500 0.500 0.500
0.734 0.734 0.734
0.266 0.266 0.266

Tl3VSe4, relaxed, DFT r²SCAN; volume = 241 Å³/cell; magnetic moment = 0.000 μB per formula unit; energy of formation from the pure elements = -0.65 eV/atom; total energy = -236.1 eV per formula unit; SG = I-43m (217)
1.0
-3.919 -3.919 3.919
-3.919 3.919 -3.919
3.919 -3.919 -3.919
Tl V Se
3 1 4
Direct
0.500 0.500 0.000
0.500 0.000 0.500
0.000 0.500 0.500
0.000 0.000 0.000
0.664 0.664 0.664
0.336 0.000 0.000
0.000 0.336 0.000
0.000 0.000 0.336